Record 1
A relaxed BaCdSn crystal. Source: Materials Project, functional PBE.

Unit cell a=12.232 b=5.279 c=8.538 alpha=90.00 beta=134.25 gamma=90.00
Space group C2/m (No. 12)
Symmetry-distinct sites (fractional):
Ba: 0.043 0.000 0.293
Cd: 0.160 0.500 0.723
Sn: 0.161 0.500 0.102

Computed properties:
The crystal system is monoclinic. For the formation energy, the calculation gives -528 meV per atom.

---

Record 2
A relaxed Cu2P2O7 crystal. Source: Materials Project, functional PBE.

Unit cell a=7.004 b=8.193 c=4.631 alpha=90.00 beta=110.16 gamma=90.00
Space group C2 (No. 5)
Symmetry-distinct sites (fractional):
Cu: 0.000 0.000 0.000
Cu: 0.000 0.378 0.000
P: 0.198 0.684 0.409
O: 0.000 0.668 0.500
O: 0.122 0.188 0.279
O: 0.196 0.842 0.234
O: 0.208 0.532 0.224

Computed properties:
The crystal system is monoclinic. The polymorph energy (0 for the lowest one) comes out at 7 meV per atom. The calculation puts the total magnetization at 3.98 μB per cell. For the formation energy, the calculation gives -2022 meV per atom.

---

Record 3
A relaxed Ba3ErIrRuO9 crystal. Source: Materials Project, functional PBE.

Unit cell a=5.9476 b=5.9476 c=14.6117 alpha=90.00 beta=90.00 gamma=120.00
Space group P6_3mc (No. 186)
Symmetry-distinct sites (fractional):
Ba: 0.0000 0.0000 0.0000
Ba: 0.3333 0.6667 0.1560
Ba: 0.3333 0.6667 0.8418
Er: 0.0000 0.0000 0.2492
Ir: 0.3333 0.6667 0.5866
Ru: 0.3333 0.6667 0.4125
O: 0.0212 0.5106 0.4992
O: 0.1752 0.3505 0.3375
O: 0.1757 0.3515 0.6652

Computed properties:
The crystal system is hexagonal. The calculation puts the total magnetization at 4.00 μB per cell. For the formation energy, the calculation gives -2601 meV per atom.

---

Record 4
A relaxed Ge crystal. Source: Materials Project, functional PBE.

Unit cell a=5.261 b=5.771 c=10.231 alpha=90.00 beta=90.00 gamma=90.00
Space group Fmmm (No. 69)
Symmetry-distinct sites (fractional):
Ge: 0.000 0.000 0.218
Ge: 0.000 0.226 0.500

Computed properties:
The crystal system is orthorhombic. The polymorph energy (0 for the lowest one) comes out at 243 meV per atom. The calculation puts the total magnetization at 0.01 μB per cell. For the formation energy, the calculation gives 243 meV per atom.

---

Record 5
A relaxed Rb2PrI5 crystal. Source: Materials Project, functional PBE.

Unit cell a=15.150 b=10.069 c=9.545 alpha=90.00 beta=90.00 gamma=90.00
Space group Pnma (No. 62)
Symmetry-distinct sites (fractional):
Rb: 0.174 0.003 0.056
Pr: 0.005 0.250 0.578
I: 0.010 0.250 0.918
I: 0.074 0.545 0.664
I: 0.175 0.250 0.378
I: 0.200 0.750 0.342

Computed properties:
The crystal system is orthorhombic. For the formation energy, the calculation gives -1734 meV per atom.

---

Record 6
A relaxed CuP4S3I crystal. Source: Materials Project, functional PBE.

Unit cell a=8.178 b=22.127 c=10.910 alpha=90.00 beta=90.00 gamma=90.00
Space group Cmce (No. 64)
Symmetry-distinct sites (fractional):
Cu: 0.204 0.000 0.000
P: 0.000 0.120 0.294
P: 0.000 0.217 0.527
P: 0.137 0.082 0.459
S: 0.000 0.213 0.331
S: 0.198 0.158 0.564
I: 0.000 0.032 0.824

Computed properties:
The crystal system is orthorhombic. The calculation puts the total magnetization at 0.01 μB per cell. For the formation energy, the calculation gives -391 meV per atom.

---

Record 7
A relaxed LiLaMg14O16 crystal. Source: Materials Project, functional PBE.

Unit cell a=4.372 b=8.698 c=8.703 alpha=90.00 beta=90.00 gamma=90.00
Space group Pmmm (No. 47)
Symmetry-distinct sites (fractional):
Li: 0.000 0.000 0.000
La: 0.000 0.000 0.500
Mg: 0.000 0.255 0.235
Mg: 0.000 0.500 0.000
Mg: 0.000 0.500 0.500
Mg: 0.500 0.000 0.226
Mg: 0.500 0.246 0.000
Mg: 0.500 0.267 0.500
Mg: 0.500 0.500 0.245
O: 0.000 0.000 0.232
O: 0.000 0.263 0.000
O: 0.000 0.270 0.500
O: 0.000 0.500 0.249
O: 0.500 0.000 0.000
O: 0.500 0.000 0.500
O: 0.500 0.249 0.252
O: 0.500 0.500 0.000
O: 0.500 0.500 0.500

Computed properties:
The crystal system is orthorhombic. The polymorph energy (0 for the lowest one) comes out at 2 meV per atom. The calculation puts the total magnetization at 0.00 μB per cell. For the formation energy, the calculation gives -2968 meV per atom.

---

Record 8
A relaxed Gd3Al2Ni6 crystal. Source: Materials Project, functional PBE.

Unit cell a=8.965 b=8.965 c=8.965 alpha=90.00 beta=90.00 gamma=90.00
Space group Im-3m (No. 229)
Symmetry-distinct sites (fractional):
Gd: 0.000 0.000 0.292
Al: 0.250 0.250 0.250
Ni: 0.000 0.334 0.334

Computed properties:
The crystal system is cubic. For the formation energy, the calculation gives -531 meV per atom.

---

Record 9
A relaxed K2Zn3P4O14 crystal. Source: Materials Project, functional PBE.

Unit cell a=10.131 b=10.255 c=13.097 alpha=90.00 beta=90.00 gamma=90.00
Space group P2_12_12_1 (No. 19)
Symmetry-distinct sites (fractional):
K: 0.097 0.019 0.004
K: 0.227 0.657 0.722
Zn: 0.022 0.686 0.135
Zn: 0.151 0.014 0.703
Zn: 0.201 0.402 0.922
P: 0.058 0.913 0.298
P: 0.073 0.327 0.697
P: 0.095 0.809 0.505
P: 0.223 0.298 0.499
O: 0.002 0.286 0.240
O: 0.054 0.179 0.703
O: 0.054 0.505 0.170
O: 0.056 0.308 0.989
O: 0.061 0.898 0.802
O: 0.128 0.367 0.584
O: 0.144 0.194 0.443
O: 0.144 0.879 0.401
O: 0.145 0.667 0.499
O: 0.158 0.977 0.227
O: 0.162 0.767 0.055
O: 0.166 0.885 0.589
O: 0.173 0.383 0.773
O: 0.237 0.590 0.928

Computed properties:
The crystal system is orthorhombic. The calculation puts the total magnetization at 0.00 μB per cell. For the formation energy, the calculation gives -2534 meV per atom.

---

Record 10
A relaxed Rb2SrP2O7 crystal. Source: Materials Project, functional PBE.

Unit cell a=10.416 b=5.959 c=13.708 alpha=90.00 beta=106.77 gamma=90.00
Space group C2/c (No. 15)
Symmetry-distinct sites (fractional):
Rb: 0.147 0.221 0.164
Sr: 0.250 0.250 0.500
P: 0.027 0.273 0.865
O: 0.000 0.161 0.750
O: 0.102 0.495 0.866
O: 0.110 0.090 0.933
O: 0.114 0.303 0.622

Computed properties:
The crystal system is monoclinic. The calculation puts the total magnetization at 0.01 μB per cell. For the formation energy, the calculation gives -2916 meV per atom.

---

Record 11
A relaxed TiFeAs crystal. Source: Materials Project, functional PBE.

Unit cell a=6.3409 b=6.3409 c=3.5896 alpha=90.00 beta=90.00 gamma=120.00
Space group P-62m (No. 189)
Symmetry-distinct sites (fractional):
Ti: 0.0000 0.4105 0.0000
Fe: 0.0000 0.7501 0.5000
As: 0.0000 0.0000 0.0000
As: 0.3333 0.6667 0.5000

Computed properties:
The crystal system is hexagonal. For the formation energy, the calculation gives -673 meV per atom.

---

Record 12
A relaxed Tl6SBr4 crystal. Source: Materials Project, functional PBE.

Unit cell a=9.009 b=9.009 c=9.567 alpha=90.00 beta=90.00 gamma=90.00
Space group P4/mnc (No. 128)
Symmetry-distinct sites (fractional):
Tl: 0.000 0.000 0.200
Tl: 0.106 0.313 0.500
S: 0.000 0.000 0.500
Br: 0.170 0.670 0.250

Computed properties:
The crystal system is tetragonal. The calculation puts the total magnetization at 0.01 μB per cell. For the formation energy, the calculation gives -975 meV per atom.

---

Record 13
A relaxed SrZrSe3 crystal. Source: Materials Project, functional PBE.

Unit cell a=9.063 b=3.993 c=14.656 alpha=90.00 beta=90.00 gamma=90.00
Space group Pnma (No. 62)
Symmetry-distinct sites (fractional):
Sr: 0.060 0.250 0.178
Zr: 0.170 0.750 0.443
Se: 0.019 0.750 0.608
Se: 0.161 0.750 0.013
Se: 0.210 0.250 0.781

Computed properties:
The crystal system is orthorhombic. The calculation puts the total magnetization at 0.00 μB per cell. For the formation energy, the calculation gives -1878 meV per atom.